A.
YMgMo3O8: optimized geometry, PBE with a Hubbard U.

a b c (Å): 6.243 6.400 5.084
angles (deg): 89.72 89.42 119.31
Fractional positions:
Mg  0.002  0.002  0.823
O  0.690  0.840  0.023
Mo  0.820  0.168  0.264
O  0.150  0.840  0.018
O  0.684  0.340  0.055
Y  0.333  0.665  0.759
O  0.511  0.504  0.473
Mo  0.828  0.656  0.272
O  0.991  0.502  0.471
Mo  0.343  0.168  0.264
O  0.146  0.305  0.018
O  0.514  0.001  0.491
O  0.991  0.000  0.455

The calculated density comes out at 5.0 Mg/m³.

B.
YMgMo3O8: optimized geometry, PBE with a Hubbard U.

a b c (Å): 6.268 6.231 5.513
angles (deg): 90.54 89.92 120.91
Fractional positions:
O  0.014  0.502  0.459
Mo  0.333  0.167  0.253
O  0.483  0.499  0.457
Mo  0.834  0.167  0.253
O  0.653  0.832  0.047
O  0.660  0.316  0.068
Mo  0.834  0.667  0.253
O  0.007  0.017  0.439
Mg  0.333  0.667  0.253
O  0.184  0.835  0.049
O  0.497  0.988  0.462
Y  0.334  0.667  0.753
O  0.169  0.345  0.044

The calculated density comes out at 4.8 Mg/m³.

Stability summary - winner: A; margin: 69 meV/atom.

A.
Y5MgMo2O12: optimized geometry, PBE with a Hubbard U.

a b c (Å): 6.090 7.175 7.592
angles (deg): 106.41 87.09 119.03
Fractional positions:
O  0.980  0.006  0.201
O  0.997  0.010  0.813
Y  0.184  0.399  0.333
O  0.441  0.353  0.075
O  0.103  0.697  0.424
Mo  0.237  0.992  0.998
Mg  0.649  0.332  0.862
O  0.510  0.006  0.801
Y  0.525  0.995  0.487
Mo  0.729  0.993  0.002
O  0.572  0.668  0.891
Y  0.184  0.383  0.819
O  0.938  0.305  0.564
O  0.592  0.684  0.434
O  0.468  0.298  0.625
O  0.996  0.625  0.903
O  0.482  0.986  0.190
Y  0.840  0.655  0.206
O  0.934  0.341  0.080
Y  0.817  0.635  0.641

The calculated density comes out at 5.1 Mg/m³.

B.
Y5MgMo2O12: optimized geometry, PBE with a Hubbard U.

a b c (Å): 5.955 6.879 7.476
angles (deg): 105.49 90.00 115.65
Fractional positions:
O  0.941  0.345  0.100
O  0.518  0.037  0.799
O  0.595  0.655  0.900
O  0.059  0.655  0.900
Mo  0.286  0.000  0.000
Mg  0.000  0.000  0.500
O  0.629  0.720  0.440
O  0.998  0.996  0.201
Mo  0.714  0.000  0.000
Y  0.197  0.393  0.856
Y  0.803  0.607  0.144
Y  0.500  0.000  0.500
Y  0.794  0.587  0.647
Y  0.206  0.413  0.353
O  0.482  0.963  0.201
O  0.909  0.280  0.560
O  0.002  0.004  0.799
O  0.405  0.345  0.100
O  0.091  0.720  0.440
O  0.371  0.280  0.560

The calculated density comes out at 5.4 Mg/m³.

C.
Y5MgMo2O12: optimized geometry, PBE with a Hubbard U.

a b c (Å): 5.932 7.136 7.517
angles (deg): 105.51 89.94 114.81
Fractional positions:
O  0.424  0.317  0.545
O  0.016  0.026  0.818
Y  0.816  0.635  0.660
Y  0.190  0.384  0.802
O  0.583  0.650  0.904
Mo  0.264  0.000  0.001
Y  0.207  0.411  0.351
O  0.504  0.012  0.804
Mg  0.650  0.292  0.324
O  0.002  0.001  0.186
Y  0.477  0.960  0.508
O  0.894  0.316  0.545
O  0.905  0.340  0.125
O  0.092  0.699  0.432
O  0.066  0.652  0.904
Mo  0.736  0.998  0.001
O  0.488  0.980  0.205
O  0.441  0.340  0.128
O  0.604  0.703  0.434
Y  0.819  0.636  0.152

The calculated density comes out at 5.1 Mg/m³.

Stability summary - winner: B; margin: 28 meV/atom.